No. 1
Compound: KCu7S4
Source: the Materials Project
Functional: PBE
Structure: relaxed

Values from the calculation:
electronic total energy = -49.8 eV/cell
space group = P1

Lattice parameters (Å, degrees): 3.8441 7.3688 7.4043 85.20 75.17 75.81
With the nearest neighbours (Å) after each atom.
Atoms (fractional coordinates):
K (0.0000, 0.0000, 0.0000)  8 S 3.20-3.44
Cu (0.2764, 0.4201, 0.0869)  2 S 2.22-2.37
Cu (0.3035, 0.9066, 0.4594)  2 S 2.23-2.38
Cu (0.3819, 0.6074, 0.6588)  3 S 2.28-2.44, 2 Cu 2.51-2.55
Cu (0.6645, 0.3817, 0.3384)  3 S 2.30-2.35
Cu (0.7971, 0.5755, 0.8933)  2 S 2.27-2.37, 1 Cu 2.51
Cu (0.9551, 0.6554, 0.3890)  3 S 2.29-2.39
Cu (0.9923, 0.3355, 0.6158)  3 S 2.26-2.33
S (0.2489, 0.1963, 0.3373)  5 Cu 2.23-2.37
S (0.4126, 0.3179, 0.7979)  4 Cu 2.22-2.33
S (0.5428, 0.6697, 0.1922)  4 Cu 2.27-2.39
S (0.7799, 0.8166, 0.6617)  5 Cu 2.29-2.44

No. 2
Compound: KCuS3
Source: the Materials Project
Functional: PBE
Structure: relaxed

Values from the calculation:
electronic total energy = -18.4 eV/cell
space group = Pmm2

Lattice parameters (Å, degrees): 3.4389 4.1767 7.6107 90.00 90.00 90.00
With the nearest neighbours (Å) after each atom.
Atoms (fractional coordinates):
K (0.0000, 0.0000, 0.0000)  5 S 3.08-3.16, 2 K 3.44
Cu (0.0000, 0.5000, 0.6092)  4 S 2.28-2.38
S (0.0000, 0.0000, 0.4151)  2 Cu 2.56, 4 S 2.71
S (0.5000, 0.5000, 0.3926)  2 Cu 2.38
S (0.5000, 0.5000, 0.8059)  2 Cu 2.28

No. 3
Compound: KCu4S3
Source: the Materials Project
Functional: PBE
Structure: relaxed

Values from the calculation:
electronic total energy = -33.2 eV/cell
space group = P4/mmm

Lattice parameters (Å, degrees): 3.8974 3.8974 9.2951 90.00 90.00 90.00
With the nearest neighbours (Å) after each atom.
Atoms (fractional coordinates):
K (0.0000, 0.0000, 0.0000)  8 S 3.37, 8 Cu 3.73
Cu (0.0000, 0.5000, 0.3419)  4 S 2.31-2.44
Cu (0.0000, 0.5000, 0.6581)  4 S 2.31-2.44
Cu (0.5000, 0.0000, 0.3419)  4 S 2.31-2.44
Cu (0.5000, 0.0000, 0.6581)  4 S 2.31-2.44
S (0.0000, 0.0000, 0.5000)  8 Cu 2.44
S (0.5000, 0.5000, 0.2085)  4 Cu 2.31
S (0.5000, 0.5000, 0.7915)  4 Cu 2.31

No. 4
Compound: K2CuSbS3
Source: the Materials Project
Functional: PBE
Structure: relaxed

Values from the calculation:
electronic total energy = -112.3 eV/cell
space group = P2_1/c

Lattice parameters (Å, degrees): 6.3553 18.1563 7.5618 90.00 120.36 90.00
With the nearest neighbours (Å) after each atom.
Atoms (fractional coordinates):
K (0.0833, 0.1190, 0.1454)  6 S 3.13-3.48
K (0.0833, 0.3810, 0.6454)  6 S 3.13-3.48
K (0.3557, 0.0422, 0.7104)  6 S 3.19-3.23
K (0.3557, 0.4578, 0.2104)  6 S 3.19-3.23
K (0.6443, 0.5422, 0.7896)  6 S 3.19-3.23
K (0.6443, 0.9578, 0.2896)  6 S 3.19-3.23
K (0.9167, 0.6190, 0.3546)  6 S 3.13-3.48
K (0.9167, 0.8810, 0.8546)  6 S 3.13-3.48
Cu (0.3828, 0.2209, 0.9311)  3 S 2.27-2.37
Cu (0.3828, 0.2791, 0.4311)  3 S 2.27-2.37
Cu (0.6172, 0.7209, 0.5689)  3 S 2.27-2.37
Cu (0.6172, 0.7791, 0.0689)  3 S 2.27-2.37
Sb (0.2367, 0.6766, 0.0045)  3 S 2.42-2.57
Sb (0.2367, 0.8234, 0.5045)  3 S 2.42-2.57
Sb (0.7633, 0.1766, 0.4955)  3 S 2.42-2.57
Sb (0.7633, 0.3234, 0.9955)  3 S 2.42-2.57
S (0.1597, 0.5627, 0.8144)  1 Sb 2.42
S (0.1597, 0.9373, 0.3144)  1 Sb 2.42
S (0.1995, 0.2098, 0.5835)  2 Cu 2.28-2.37
S (0.1995, 0.2902, 0.0835)  2 Cu 2.28-2.37
S (0.4094, 0.6261, 0.3543)  1 Cu 2.27, 1 Sb 2.47
S (0.4094, 0.8739, 0.8543)  1 Cu 2.27, 1 Sb 2.47
S (0.5906, 0.1261, 0.1457)  1 Cu 2.27, 1 Sb 2.47
S (0.5906, 0.3739, 0.6457)  1 Cu 2.27, 1 Sb 2.47
S (0.8005, 0.7098, 0.9165)  2 Cu 2.28-2.37
S (0.8005, 0.7902, 0.4165)  2 Cu 2.28-2.37
S (0.8403, 0.0627, 0.6856)  1 Sb 2.42
S (0.8403, 0.4373, 0.1856)  1 Sb 2.42

No. 5
Compound: KCu2SbS3
Source: the Materials Project
Functional: PBE
Structure: relaxed

Values from the calculation:
electronic total energy = -117.0 eV/cell
space group = P-1

Lattice parameters (Å, degrees): 6.4370 9.1896 10.5323 90.71 91.02 91.20
With the nearest neighbours (Å) after each atom.
Atoms (fractional coordinates):
K (0.1951, 0.4259, 0.1322)  6 S 3.24-3.47, 2 Cu 3.48-3.50
K (0.2995, 0.5690, 0.6304)  7 S 3.22-3.58, 2 Cu 3.55-3.57
K (0.7005, 0.4310, 0.3696)  7 S 3.22-3.58, 2 Cu 3.55-3.57
K (0.8049, 0.5741, 0.8678)  6 S 3.24-3.47, 2 Cu 3.48-3.50
Cu (0.0000, 0.1137, 0.3310)  3 S 2.28-2.33
Cu (0.0000, 0.8863, 0.6690)  3 S 2.28-2.33
Cu (0.0755, 0.8395, 0.0458)  4 S 2.32-2.48
Cu (0.4232, 0.1565, 0.5375)  4 S 2.32-2.40
Cu (0.4826, 0.2625, 0.8615)  3 S 2.29-2.30
Cu (0.5174, 0.7375, 0.1385)  3 S 2.29-2.30
Cu (0.5768, 0.8435, 0.4625)  4 S 2.32-2.40
Cu (0.9245, 0.1605, 0.9542)  4 S 2.32-2.48
Sb (0.0368, 0.8186, 0.3517)  3 S 2.51-2.53, 1 Cu 2.74
Sb (0.4716, 0.9557, 0.8529)  3 S 2.50-2.54
Sb (0.5284, 0.0443, 0.1471)  3 S 2.50-2.54
Sb (0.9632, 0.1814, 0.6483)  3 S 2.51-2.53, 1 Cu 2.74
S (0.1363, 0.3112, 0.8347)  2 Cu 2.30-2.32, 1 Sb 2.52
S (0.1389, 0.0747, 0.1358)  3 Cu 2.28-2.48, 1 Sb 2.53
S (0.1469, 0.2900, 0.4604)  2 Cu 2.28-2.32, 1 Sb 2.53
S (0.3439, 0.7172, 0.9458)  2 Cu 2.30-2.34, 1 Sb 2.54
S (0.3515, 0.9241, 0.6268)  3 Cu 2.33-2.40, 1 Sb 2.50
S (0.3724, 0.6869, 0.3306)  2 Cu 2.29-2.35, 1 Sb 2.51
S (0.6276, 0.3131, 0.6694)  2 Cu 2.29-2.35, 1 Sb 2.51
S (0.6485, 0.0759, 0.3732)  3 Cu 2.33-2.40, 1 Sb 2.50
S (0.6561, 0.2828, 0.0542)  2 Cu 2.30-2.34, 1 Sb 2.54
S (0.8531, 0.7100, 0.5396)  2 Cu 2.28-2.32, 1 Sb 2.53
S (0.8611, 0.9253, 0.8642)  3 Cu 2.28-2.48, 1 Sb 2.53
S (0.8637, 0.6888, 0.1653)  2 Cu 2.30-2.32, 1 Sb 2.52

No. 6
Compound: KSm2CuS4
Source: the Materials Project
Functional: PBE
Structure: relaxed

Values from the calculation:
electronic total energy = -88.7 eV/cell
space group = Cmcm

Lattice parameters (Å, degrees): 7.1760 7.1760 13.9242 90.00 90.00 147.38
With the nearest neighbours (Å) after each atom.
Atoms (fractional coordinates):
K (0.1083, 0.8917, 0.7500)  6 S 3.17-3.29
K (0.8917, 0.1083, 0.2500)  6 S 3.17-3.29
Sm (0.3655, 0.6345, 0.5628)  6 S 2.76-2.87
Sm (0.3655, 0.6345, 0.9372)  6 S 2.76-2.87
Sm (0.6345, 0.3655, 0.0628)  6 S 2.76-2.87
Sm (0.6345, 0.3655, 0.4372)  6 S 2.76-2.87
Cu (0.1622, 0.8378, 0.2500)  4 S 2.35-2.39
Cu (0.8378, 0.1622, 0.7500)  4 S 2.35-2.39
S (0.0000, 0.0000, 0.0000)  4 Sm 2.87
S (0.0000, 0.0000, 0.5000)  4 Sm 2.87
S (0.2628, 0.7372, 0.1137)  1 Cu 2.35
S (0.2628, 0.7372, 0.3863)  1 Cu 2.35
S (0.4305, 0.5695, 0.7500)  2 Cu 2.39
S (0.5695, 0.4305, 0.2500)  2 Cu 2.39
S (0.7372, 0.2628, 0.6137)  1 Cu 2.35
S (0.7372, 0.2628, 0.8863)  1 Cu 2.35